A relaxed Ba2YSn3O7 crystal, computed with PBE.

Cell: 4.1907 4.3834 11.9973 Å, 90.00 90.00 90.00°
Fractional positions:
Ba (0.5000, 0.5000, 0.3272)
Ba (0.5000, 0.5000, 0.6728)
Y (0.5000, 0.5000, 0.0000)
Sn (0.0000, 0.0000, 0.1324)
Sn (0.0000, 0.0000, 0.8676)
Sn (0.0000, 0.0000, 0.5000)
O (0.0000, 0.5000, 0.5000)
O (0.5000, 0.0000, 0.1216)
O (0.5000, 0.0000, 0.8784)
O (0.0000, 0.5000, 0.1233)
O (0.0000, 0.5000, 0.8767)
O (0.0000, 0.0000, 0.3054)
O (0.0000, 0.0000, 0.6946)

The space group is Pmmm. The calculation puts the energy relative to the elements at -2.3352 eV/atom.

A relaxed BaYSn4O7 crystal, computed with PBE.

Cell: 6.4656 6.4656 14.6111 Å, 90.00 90.00 120.00°
Fractional positions:
Ba (0.6667, 0.3333, 0.4408)
Ba (0.3333, 0.6667, 0.9408)
Y (0.6667, 0.3333, 0.8769)
Y (0.3333, 0.6667, 0.3769)
Sn (0.8284, 0.1716, 0.2037)
Sn (0.6568, 0.8284, 0.7037)
Sn (0.1716, 0.3432, 0.7037)
Sn (0.8284, 0.6568, 0.2037)
Sn (0.3432, 0.1716, 0.2037)
Sn (0.1716, 0.8284, 0.7037)
Sn (0.0000, 0.0000, 0.4359)
Sn (0.0000, 0.0000, 0.9359)
O (0.8298, 0.1702, 0.9666)
O (0.6596, 0.8298, 0.4666)
O (0.1702, 0.3404, 0.4666)
O (0.8298, 0.6596, 0.9666)
O (0.3404, 0.1702, 0.9666)
O (0.1702, 0.8298, 0.4666)
O (0.0000, 0.0000, 0.7956)
O (0.0000, 0.0000, 0.2956)
O (0.5103, 0.4897, 0.2913)
O (0.0206, 0.5103, 0.7913)
O (0.4897, 0.9794, 0.7913)
O (0.5103, 0.0206, 0.2913)
O (0.4897, 0.5103, 0.7913)
O (0.9794, 0.4897, 0.2913)

The space group is P6_3mc. The calculation puts the energy relative to the elements at -2.1822 eV/atom.

A relaxed BaZr2SnO6 crystal, computed with PBE.

Cell: 4.2356 5.9609 5.9609 Å, 89.61 90.00 90.00°
Fractional positions:
Ba (0.5000, 0.0000, 0.0000)
Zr (0.0000, 0.0000, 0.5000)
Zr (0.0000, 0.5000, 0.0000)
Sn (0.5000, 0.5000, 0.5000)
O (0.5000, 0.0000, 0.5000)
O (0.5000, 0.5000, 0.0000)
O (0.0000, 0.2750, 0.7250)
O (0.0000, 0.7250, 0.2750)
O (0.0000, 0.7750, 0.7750)
O (0.0000, 0.2250, 0.2250)

The space group is Cmmm. The calculation puts the energy relative to the elements at -3.1631 eV/atom. The offset from the most stable computed form comes out at 0 kJ/mol of formula units.

- The highest energy relative to the elements belongs to which entry?
  BaYSn4O7

- Which of these has the highest energy relative to the elements?
  BaYSn4O7

- What is the energy relative to the elements in the second record?
  -2.1822 eV/atom